1.
CaY2O4 | PBE | relaxed

Output
The value obtained for the MP2020-corrected energy is -8.67 eV per atom. As for the crystal system: orthorhombic. For the spin magnetization, the calculation gives 0.00 Bohr magnetons per cell. For the energy above the most stable polymorph in this dataset, the calculation gives 32.4 meV/atom.

Unit cell a=9.976 b=3.383 c=11.829 alpha=90.00 beta=90.00 gamma=90.00
Space group Pnma (No. 62)
Inequivalent atoms, fractional coordinates:
Ca 0.249 0.250 0.149
Y 0.077 0.250 0.386
Y 0.079 0.250 0.889
O 0.021 0.750 0.783
O 0.079 0.250 0.579
O 0.132 0.750 0.024
O 0.210 0.750 0.314

2.
CaY2O4 | PBE | relaxed

Output
The value obtained for the MP2020-corrected energy is -8.67 eV per atom. As for the crystal system: orthorhombic. For the spin magnetization, the calculation gives 0.00 Bohr magnetons per cell. For the energy above the most stable polymorph in this dataset, the calculation gives 37.0 meV/atom.

Unit cell a=3.331 b=11.081 c=11.000 alpha=90.00 beta=90.00 gamma=90.00
Space group Cmcm (No. 63)
Inequivalent atoms, fractional coordinates:
Ca 0.000 0.111 0.250
Y 0.000 0.367 0.074
O 0.000 0.000 0.000
O 0.000 0.267 0.613
O 0.000 0.467 0.250

3.
CaZn3O4 | PBE | relaxed

Output
The value obtained for the MP2020-corrected energy is -5.29 eV per atom. As for the crystal system: monoclinic. For the spin magnetization, the calculation gives 0.00 Bohr magnetons per cell.

Unit cell a=12.356 b=3.422 c=5.898 alpha=90.00 beta=118.41 gamma=90.00
Space group Cm (No. 8)
Inequivalent atoms, fractional coordinates:
Ca 0.000 0.000 0.000
Zn 0.001 0.500 0.495
Zn 0.243 0.000 0.903
Zn 0.251 0.500 0.418
O 0.058 0.000 0.699
O 0.069 0.500 0.255
O 0.295 0.500 0.797
O 0.307 0.000 0.302

4.
CaZnO2 | PBE | relaxed

Output
The value obtained for the MP2020-corrected energy is -5.70 eV per atom. As for the crystal system: trigonal. For the spin magnetization, the calculation gives 0.00 Bohr magnetons per cell.

Unit cell a=3.5681 b=3.5681 c=5.4812 alpha=90.00 beta=90.00 gamma=120.00
Space group P3m1 (No. 156)
Inequivalent atoms, fractional coordinates:
Ca 0.0000 0.0000 0.0000
Zn 0.3333 0.6667 0.4855
O 0.0000 0.0000 0.5783
O 0.3333 0.6667 0.1260

5.
Ca3P2 | PBE | relaxed

Output
As for the crystal system: cubic. For the spin magnetization, the calculation gives 0.00 Bohr magnetons per cell.

Unit cell a=5.310 b=5.310 c=5.310 alpha=90.00 beta=90.00 gamma=90.00
Space group Pm-3m (No. 221)
Inequivalent atoms, fractional coordinates:
Ca 0.000 0.000 0.500
P 0.000 0.000 0.000
P 0.500 0.500 0.500

6.
CaP | PBE | relaxed

Output
The value obtained for the maximum piezoelectric response is 0.137 C/m². As for the crystal system: hexagonal.

Unit cell a=7.6621 b=7.6621 c=5.7214 alpha=90.00 beta=90.00 gamma=120.00
Space group P-62m (No. 189)
Inequivalent atoms, fractional coordinates:
Ca 0.0000 0.3567 0.0000
Ca 0.0000 0.6912 0.5000
P 0.0000 0.0000 0.1967
P 0.3333 0.6667 0.2983

7.
Ca4P5Pd5 | PBE | relaxed

Output
As for the crystal system: orthorhombic. For the spin magnetization, the calculation gives 0.00 Bohr magnetons per cell.

Unit cell a=4.135 b=31.188 c=8.263 alpha=90.00 beta=90.00 gamma=90.00
Space group Cmcm (No. 63)
Inequivalent atoms, fractional coordinates:
Ca 0.000 0.080 0.001
Ca 0.000 0.306 0.505
P 0.000 0.157 0.250
P 0.000 0.158 0.750
P 0.000 0.229 0.750
P 0.000 0.454 0.250
P 0.000 0.456 0.750
Pd 0.000 0.000 0.250
Pd 0.000 0.234 0.250
Pd 0.000 0.379 0.250
Pd 0.000 0.380 0.750
Pd 0.000 0.500 0.000

8.
Ca5P6Pd6 | PBE | relaxed

Output
As for the crystal system: orthorhombic.

Unit cell a=8.262 b=4.126 c=19.226 alpha=90.00 beta=90.00 gamma=90.00
Space group Pmma (No. 51)
Inequivalent atoms, fractional coordinates:
Ca 0.000 0.000 0.000
Ca 0.001 0.000 0.370
Ca 0.008 0.500 0.182
P 0.250 0.000 0.246
P 0.250 0.000 0.758
P 0.250 0.000 0.873
P 0.250 0.500 0.058
P 0.250 0.500 0.428
P 0.250 0.500 0.575
Pd 0.000 0.500 0.500
Pd 0.250 0.000 0.121
Pd 0.250 0.000 0.501
Pd 0.250 0.500 0.306
Pd 0.250 0.500 0.698
Pd 0.250 0.500 0.933

V per entry: 14.26 14.50 13.71 15.11 29.94 24.24 19.03 19.27 A^3/atom
Formation enthalpy at 0 K per entry: -3.71 -3.70 -2.10 -2.41 -0.73 -1.09 -0.97 -0.98 eV/atom